No. 1
VASP calculation (PBE-GGA) on an optimized crystal structure of UGa2Cu3.

Unit cell a=5.2399 b=5.2399 c=4.0234 alpha=90.00 beta=90.00 gamma=120.00
Fractional positions:
U: 0.0000 0.0000 0.0000
Ga: 0.6667 0.3333 0.0000
Ga: 0.3333 0.6667 0.0000
Cu: 0.5000 0.5000 0.5000
Cu: 0.5000 0.0000 0.5000
Cu: 0.0000 0.5000 0.5000

Calculated values
Crystal system: hexagonal
ΔE_f in eV per atom: 0.084
Spin magnetization in μB/atom: 0.008

No. 2
VASP calculation (PBE-GGA) on an optimized crystal structure of U2Ga5Cu3.

Unit cell a=4.1249 b=4.1249 c=10.2430 alpha=90.00 beta=90.00 gamma=90.00
Fractional positions:
U: 0.0000 0.0000 0.9992
U: 0.5000 0.5000 0.5092
Ga: 0.0000 0.5000 0.2590
Ga: 0.5000 0.0000 0.7474
Ga: 0.5000 0.0000 0.2590
Ga: 0.0000 0.5000 0.7474
Ga: 0.5000 0.5000 0.1023
Cu: 0.0000 0.0000 0.6140
Cu: 0.0000 0.0000 0.3875
Cu: 0.5000 0.5000 0.8751

Calculated values
Crystal system: tetragonal
ΔE_f in eV per atom: -0.102
Spin magnetization in μB/atom: 0.487

No. 3
VASP calculation (PBE-GGA) on an optimized crystal structure of V2Ga8Cu3.

Unit cell a=10.2484 b=10.2484 c=10.2484 alpha=109.47 beta=109.47 gamma=109.47
Fractional positions:
V: 0.0242 0.0242 0.0242
V: 0.9758 0.5000 0.0000
V: 0.0000 0.4758 0.5000
V: 0.5242 0.5242 0.5242
V: 0.0000 0.9758 0.5000
V: 0.5000 0.0000 0.4758
V: 0.4758 0.5000 0.0000
V: 0.5000 0.0000 0.9758
Ga: 0.5098 0.2640 0.0061
Ga: 0.7266 0.5000 0.0000
Ga: 0.4902 0.2542 0.4964
Ga: 0.5061 0.7640 0.0098
Ga: 0.9939 0.0036 0.2578
Ga: 0.0036 0.2578 0.9939
Ga: 0.2458 0.7360 0.2422
Ga: 0.0000 0.7266 0.5000
Ga: 0.7458 0.7422 0.2360
Ga: 0.5036 0.4939 0.7578
Ga: 0.7640 0.0098 0.5061
Ga: 0.5000 0.0000 0.2266
Ga: 0.0098 0.5061 0.7640
Ga: 0.7360 0.2422 0.2458
Ga: 0.2266 0.5000 0.0000
Ga: 0.2640 0.0061 0.5098
Ga: 0.5000 0.0000 0.7266
Ga: 0.7542 0.9902 0.9964
Ga: 0.9964 0.7542 0.9902
Ga: 0.4964 0.4902 0.2542
Ga: 0.2542 0.4964 0.4902
Ga: 0.7578 0.5036 0.4939
Ga: 0.7734 0.7734 0.7734
Ga: 0.2422 0.2458 0.7360
Ga: 0.0061 0.5098 0.2640
Ga: 0.7422 0.2360 0.7458
Ga: 0.2734 0.2734 0.2734
Ga: 0.0000 0.2266 0.5000
Ga: 0.9902 0.9964 0.7542
Ga: 0.2578 0.9939 0.0036
Ga: 0.4939 0.7578 0.5036
Ga: 0.2360 0.7458 0.7422
Cu: 0.7452 0.7500 0.4952
Cu: 0.7500 0.2548 0.5048
Cu: 0.7548 0.2500 0.0048
Cu: 0.7500 0.4952 0.7452
Cu: 0.0048 0.7548 0.2500
Cu: 0.4952 0.7452 0.7500
Cu: 0.2500 0.0048 0.7548
Cu: 0.2500 0.2452 0.9952
Cu: 0.2452 0.9952 0.2500
Cu: 0.2548 0.5048 0.7500
Cu: 0.9952 0.2500 0.2452
Cu: 0.5048 0.7500 0.2548

Calculated values
Crystal system: cubic
ΔE_f in eV per atom: -0.203

No. 4
VASP calculation (PBE-GGA) on an optimized crystal structure of Y3Ga4Cu2.

Unit cell a=4.2904 b=4.2904 c=22.2926 alpha=90.00 beta=90.00 gamma=120.00
Fractional positions:
Y: 0.3333 0.6667 0.2564
Y: 0.3333 0.6667 0.5891
Y: 0.3333 0.6667 0.9220
Y: 0.3333 0.6667 0.0790
Y: 0.3333 0.6667 0.4127
Y: 0.3333 0.6667 0.7450
Ga: 0.0000 0.0000 0.3384
Ga: 0.0000 0.0000 0.6711
Ga: 0.0000 0.0000 0.1546
Ga: 0.0000 0.0000 0.4873
Ga: 0.0000 0.0000 0.8194
Ga: 0.6667 0.3333 0.1814
Ga: 0.6667 0.3333 0.5136
Ga: 0.6667 0.3333 0.8454
Cu: 0.6667 0.3333 0.3264
Cu: 0.6667 0.3333 0.6586
Cu: 0.6667 0.3333 0.9948
Cu: 0.0000 0.0000 0.0048

Calculated values
Crystal system: trigonal
ΔE_f in eV per atom: -0.545
Spin magnetization in μB/atom: 0.000

No. 5
VASP calculation (PBE-GGA) on an optimized crystal structure of Y3Ga9Cu2.

Unit cell a=8.1545 b=8.1545 c=8.1545 alpha=150.14 beta=104.23 gamma=83.51
Fractional positions:
Y: 0.3162 0.3162 0.0000
Y: 0.6838 0.6838 0.0000
Y: 0.0000 0.0000 0.0000
Ga: 0.7128 0.3414 0.3714
Ga: 0.2872 0.6586 0.6286
Ga: 0.9701 0.3414 0.6286
Ga: 0.0299 0.6586 0.3714
Ga: 0.4112 0.1325 0.2786
Ga: 0.5888 0.8675 0.7214
Ga: 0.8539 0.1325 0.7214
Ga: 0.1461 0.8675 0.2786
Ga: 0.5000 0.0000 0.5000
Cu: 0.7119 0.5000 0.2119
Cu: 0.2881 0.5000 0.7881

Calculated values
Crystal system: orthorhombic
ΔE_f in eV per atom: -0.494

No. 6
VASP calculation (PBE-GGA) on an optimized crystal structure of Y2Ga3Cu.

Unit cell a=4.3732 b=4.3732 c=7.2969 alpha=90.00 beta=90.00 gamma=120.00
Fractional positions:
Y: 0.3333 0.6667 0.7690
Y: 0.3333 0.6667 0.2370
Ga: 0.0000 0.0000 0.0186
Ga: 0.0000 0.0000 0.4592
Ga: 0.6667 0.3333 0.5435
Cu: 0.6667 0.3333 0.9728

Calculated values
Crystal system: trigonal
ΔE_f in eV per atom: -0.609

No. 7
VASP calculation (PBE-GGA) on an optimized crystal structure of ZrGaCu.

Unit cell a=4.2486 b=4.2460 c=6.5598 alpha=90.00 beta=89.98 gamma=60.02
Fractional positions:
Zr: 0.9998 0.0001 0.7712
Zr: 0.0002 0.9999 0.2288
Ga: 0.6664 0.6668 0.4590
Ga: 0.3336 0.3332 0.5410
Cu: 0.3334 0.3333 0.9746
Cu: 0.6666 0.6667 0.0254

Calculated values
Crystal system: trigonal
ΔE_f in eV per atom: -0.299
Spin magnetization in μB/atom: 0.001

No. 8
VASP calculation (PBE-GGA) on an optimized crystal structure of Zr2Ga3Cu.

Unit cell a=5.3934 b=5.3934 c=6.5885 alpha=52.69 beta=52.69 gamma=45.46
Fractional positions:
Zr: 0.5398 0.5398 0.2033
Zr: 0.4574 0.4574 0.7898
Ga: 0.8499 0.8499 0.6159
Ga: 0.8259 0.8259 0.2092
Ga: 0.1601 0.1601 0.7949
Cu: 0.1669 0.1669 0.3869

Calculated values
Crystal system: monoclinic
ΔE_f in eV per atom: -0.525

Question: What is the ΔE_f in the fifth record?
Answer: -0.494 eV per atom

Question: Which value of ΔE_f does entry 8 give?
Answer: -0.525 eV per atom